Below is Cd2S2O9 after structural relaxation, with properties calculated at the PBE level.

Computed properties:
Formation enthalpy at 0 K = -0.5643 eV/atom

abc: 10.564 11.932 13.747
angles: 78.62 90.00 90.00
Fractional positions:
1 Cd 0.884 0.386 0.990
2 S 0.596 0.400 0.929
3 O 0.333 0.966 0.489
4 O 0.957 0.454 0.833
5 O 0.809 0.737 0.178
6 Cd 0.205 0.336 0.519
7 O 0.945 0.327 0.705
8 Cd 0.607 0.124 0.013
9 S 0.423 0.001 0.167
10 O 0.167 0.966 0.989
11 O 0.591 0.127 0.842
12 S 0.577 0.999 0.833
13 O 0.335 0.530 0.004
14 O 0.555 0.327 0.205
15 O 0.978 0.203 0.005
16 O 0.896 0.386 0.157
17 O 0.897 0.937 0.444
18 O 0.717 0.181 0.606
19 S 0.039 0.417 0.176
20 O 0.665 0.470 0.996
21 O 0.292 0.677 0.097
22 S 0.110 0.883 0.936
23 S 0.390 0.883 0.436
24 O 0.397 0.063 0.056
25 O 0.590 0.162 0.297
26 Cd 0.705 0.664 0.981
27 Cd 0.116 0.614 0.010
28 O 0.486 0.690 0.001
29 O 0.604 0.386 0.657
30 O 0.410 0.838 0.703
31 O 0.903 0.596 0.928
32 O 0.409 0.873 0.158
33 O 0.403 0.404 0.572
34 O 0.603 0.937 0.944
35 O 0.522 0.203 0.505
36 S 0.077 0.001 0.667
37 Cd 0.734 0.260 0.754
38 Cd 0.266 0.740 0.246
39 O 0.754 0.645 0.150
40 O 0.254 0.355 0.350
41 S 0.890 0.117 0.064
42 Cd 0.893 0.124 0.513
43 O 0.260 0.164 0.599
44 O 0.835 0.470 0.496
45 O 0.283 0.819 0.394
46 O 0.445 0.673 0.795
47 S 0.096 0.600 0.571
48 O 0.159 0.279 0.731
49 O 0.065 0.976 0.325
50 O 0.543 0.454 0.333
51 Cd 0.766 0.260 0.254
52 O 0.435 0.976 0.825
53 O 0.667 0.034 0.511
54 O 0.760 0.836 0.901
55 O 0.478 0.797 0.495
56 O 0.986 0.310 0.499
57 O 0.208 0.677 0.597
58 S 0.610 0.117 0.564
59 O 0.246 0.355 0.850
60 O 0.708 0.323 0.903
61 O 0.740 0.836 0.401
62 Cd 0.616 0.386 0.490
63 O 0.746 0.645 0.650
64 S 0.404 0.600 0.071
65 O 0.833 0.034 0.011
66 O 0.909 0.127 0.342
67 O 0.691 0.737 0.678
68 O 0.014 0.690 0.501
69 S 0.461 0.417 0.676
70 O 0.091 0.873 0.658
71 O 0.457 0.546 0.667
72 O 0.910 0.162 0.797
73 Cd 0.393 0.876 0.987
74 O 0.659 0.721 0.769
75 Cd 0.295 0.336 0.019
76 O 0.165 0.530 0.504
77 O 0.191 0.263 0.822
78 Cd 0.795 0.664 0.481
79 S 0.904 0.400 0.429
80 O 0.841 0.721 0.269
81 O 0.022 0.797 0.995
82 O 0.097 0.404 0.072
83 O 0.597 0.596 0.428
84 O 0.792 0.323 0.403
85 Cd 0.107 0.876 0.487
86 O 0.514 0.310 0.999
87 O 0.217 0.819 0.894
88 O 0.055 0.673 0.295
89 Cd 0.234 0.740 0.746
90 S 0.539 0.583 0.324
91 O 0.043 0.546 0.167
92 O 0.104 0.614 0.843
93 Cd 0.384 0.614 0.510
94 O 0.309 0.263 0.322
95 O 0.396 0.614 0.343
96 O 0.783 0.181 0.106
97 O 0.565 0.024 0.175
98 S 0.961 0.583 0.824
99 O 0.240 0.164 0.099
100 O 0.103 0.063 0.556
101 S 0.923 0.999 0.333
102 O 0.341 0.279 0.231
103 O 0.090 0.838 0.203
104 O 0.935 0.024 0.675

Below is Cd3S3O20 after structural relaxation, with properties calculated at the PBE level.

Computed properties:
Formation enthalpy at 0 K = -1.0076 eV/atom
ΔE to the lowest computed polymorph = 0 meV/atom

abc: 9.704 10.008 10.009
angles: 85.21 85.27 85.23
Fractional positions:
1 O 0.979 0.894 0.361
2 Cd 0.000 0.502 0.245
3 O 0.797 0.720 0.756
4 O 0.807 0.472 0.371
5 O 0.484 0.350 0.891
6 O 0.928 0.863 0.946
7 O 0.043 0.643 0.903
8 O 0.529 0.863 0.300
9 O 0.030 0.311 0.873
10 Cd 0.499 0.246 0.496
11 S 0.749 0.487 0.512
12 O 0.013 0.114 0.644
13 O 0.136 0.550 0.395
14 O 0.664 0.004 0.801
15 O 0.696 0.250 0.273
16 O 0.955 0.353 0.106
17 Cd 0.999 0.503 0.753
18 Cd 0.249 0.000 0.999
19 O 0.338 0.995 0.196
20 S 0.973 0.251 0.005
21 O 0.968 0.698 0.132
22 O 0.860 0.452 0.606
23 O 0.835 0.203 0.991
24 O 0.199 0.275 0.252
25 O 0.693 0.628 0.527
26 O 0.164 0.801 0.008
27 O 0.070 0.136 0.051
28 S 0.526 0.994 0.749
29 Cd 0.499 0.755 0.498
30 S 0.249 0.514 0.485
31 O 0.867 0.937 0.318
32 O 0.367 0.313 0.925
33 O 0.473 0.128 0.690
34 O 0.194 0.528 0.627
35 O 0.426 0.949 0.861
36 O 0.637 0.394 0.546
37 Cd 0.752 0.002 0.998
38 O 0.536 0.625 0.120
39 O 0.576 0.051 0.139
40 O 0.129 0.077 0.681
41 O 0.361 0.607 0.449
42 O 0.544 0.895 0.645
43 S 0.476 0.000 0.249
44 O 0.460 0.091 0.360
45 O 0.631 0.332 0.198
46 O 0.306 0.743 0.726
47 O 0.305 0.373 0.469
48 O 0.145 0.192 0.334
49 O 0.857 0.798 0.673
50 S 0.025 0.751 0.997
51 O 0.359 0.661 0.809
52 O 0.633 0.681 0.058

Below is Cd2Sb2O7 after structural relaxation, with properties calculated at the PBE level.

Computed properties:
Formation enthalpy at 0 K = -1.7820 eV/atom

abc: 7.377 7.377 7.377
angles: 120.32 118.86 90.72
Fractional positions:
1 Sb 0.500 0.000 0.500
2 O 0.833 0.097 0.736
3 O 0.402 0.250 0.152
4 Sb 0.000 0.500 0.500
5 O 0.445 0.675 0.355
6 Cd 0.000 0.000 0.500
7 O 0.820 0.590 0.645
8 O 0.180 0.825 0.771
9 O 0.598 0.750 0.848
10 O 0.445 0.090 0.771
11 Cd 0.500 0.500 0.000
12 O 0.167 0.903 0.264
13 Cd 0.000 0.000 0.000
14 O 0.861 0.597 0.264
15 Sb 0.500 0.500 0.500
16 O 0.820 0.175 0.229
17 O 0.555 0.910 0.229
18 O 0.139 0.403 0.736
19 Sb 0.500 0.000 0.000
20 Cd 0.000 0.500 0.000
21 O 0.555 0.325 0.645
22 O 0.180 0.410 0.355

Below is Cd2Sb2O7 after structural relaxation, with properties calculated at the PBE level.

Computed properties:
Formation enthalpy at 0 K = -1.7912 eV/atom

abc: 7.388 7.388 7.388
angles: 60.00 60.00 60.00
Fractional positions:
1 O 0.551 0.949 0.949
2 Cd 0.125 0.125 0.625
3 Cd 0.125 0.125 0.125
4 O 0.551 0.551 0.949
5 O 0.551 0.949 0.551
6 Sb 0.625 0.625 0.125
7 O 0.949 0.551 0.551
8 O 0.699 0.699 0.301
9 Cd 0.125 0.625 0.125
10 O 0.301 0.699 0.699
11 O 0.949 0.949 0.551
12 O 0.699 0.301 0.699
13 O 0.949 0.551 0.949
14 O 0.301 0.699 0.301
15 O 0.250 0.250 0.250
16 O 0.301 0.301 0.699
17 Cd 0.625 0.125 0.125
18 O 0.000 0.000 0.000
19 O 0.699 0.301 0.301
20 Sb 0.625 0.625 0.625
21 Sb 0.125 0.625 0.625
22 Sb 0.625 0.125 0.625

Below is CdSe2O9 after structural relaxation, with properties calculated at the PBE level.

Computed properties:
Formation enthalpy at 0 K = -0.7054 eV/atom
ΔE to the lowest computed polymorph = 0 meV/atom

abc: 5.286 9.017 16.813
angles: 69.85 90.00 90.00
Fractional positions:
1 O 0.343 0.267 0.248
2 O 0.897 0.384 0.604
3 O 0.544 0.011 0.110
4 O 0.089 0.161 0.106
5 O 0.441 0.543 0.580
6 O 0.265 0.482 0.282
7 Cd 0.742 0.240 0.021
8 O 0.589 0.839 0.394
9 Se 0.234 0.987 0.126
10 O 0.906 0.104 0.936
11 Se 0.266 0.987 0.626
12 O 0.911 0.839 0.894
13 Se 0.260 0.460 0.388
14 O 0.111 0.291 0.439
15 O 0.765 0.518 0.218
16 Cd 0.258 0.760 0.979
17 O 0.406 0.896 0.564
18 O 0.686 0.135 0.273
19 O 0.559 0.457 0.420
20 Se 0.240 0.460 0.888
21 O 0.956 0.011 0.610
22 O 0.603 0.384 0.104
23 O 0.456 0.989 0.890
24 O 0.186 0.865 0.227
25 O 0.094 0.896 0.064
26 O 0.843 0.733 0.252
27 O 0.397 0.616 0.896
28 O 0.157 0.267 0.748
29 O 0.389 0.291 0.939
30 Se 0.734 0.013 0.374
31 O 0.059 0.543 0.080
32 Se 0.766 0.013 0.874
33 O 0.814 0.135 0.773
34 Cd 0.758 0.240 0.521
35 O 0.611 0.709 0.061
36 Se 0.760 0.540 0.112
37 O 0.657 0.733 0.752
38 Cd 0.242 0.760 0.479
39 O 0.044 0.989 0.390
40 O 0.735 0.518 0.718
41 O 0.889 0.709 0.561
42 O 0.314 0.865 0.727
43 O 0.941 0.457 0.920
44 O 0.411 0.161 0.606
45 O 0.235 0.482 0.782
46 O 0.594 0.104 0.436
47 Se 0.740 0.540 0.612
48 O 0.103 0.616 0.396

Below is CdSe2O5 after structural relaxation, with properties calculated at the PBE level.

Computed properties:
Formation enthalpy at 0 K = -1.3307 eV/atom

abc: 7.085 7.085 6.238
angles: 74.18 74.18 108.47
Fractional positions:
1 O 0.721 0.590 0.830
2 O 0.082 0.918 0.750
3 O 0.918 0.082 0.250
4 O 0.479 0.922 0.768
5 Cd 0.587 0.413 0.250
6 O 0.922 0.479 0.268
7 O 0.590 0.721 0.330
8 Se 0.013 0.294 0.368
9 Cd 0.413 0.587 0.750
10 Se 0.706 0.987 0.132
11 O 0.521 0.078 0.232
12 Se 0.294 0.013 0.868
13 O 0.410 0.279 0.670
14 O 0.078 0.521 0.732
15 Se 0.987 0.706 0.632
16 O 0.279 0.410 0.170

Below is Cd3Se4O12 after structural relaxation, with properties calculated at the PBE level.

Computed properties:
Formation enthalpy at 0 K = -1.2318 eV/atom

abc: 9.536 7.427 9.487
angles: 67.00 90.00 90.00
Fractional positions:
1 O 0.020 0.663 0.591
2 O 0.974 0.256 0.130
3 O 0.638 0.547 0.698
4 O 0.235 0.027 0.555
5 O 0.026 0.744 0.870
6 O 0.980 0.337 0.409
7 O 0.362 0.453 0.302
8 O 0.265 0.527 0.555
9 O 0.234 0.759 0.099
10 Cd 0.000 0.000 0.500
11 O 0.914 0.681 0.217
12 Cd 0.871 0.382 0.659
13 O 0.766 0.241 0.901
14 Se 0.334 0.042 0.706
15 Se 0.166 0.542 0.706
16 O 0.862 0.047 0.698
17 O 0.734 0.741 0.901
18 Cd 0.371 0.118 0.341
19 Cd 0.129 0.618 0.341
20 Se 0.885 0.868 0.885
21 O 0.414 0.819 0.783
22 Cd 0.629 0.882 0.659
23 O 0.480 0.163 0.591
24 O 0.735 0.473 0.445
25 O 0.526 0.756 0.130
26 O 0.474 0.244 0.870
27 Se 0.666 0.958 0.294
28 Se 0.615 0.368 0.885
29 Cd 0.500 0.500 0.500
30 O 0.138 0.953 0.302
31 O 0.266 0.259 0.099
32 Se 0.385 0.632 0.115
33 O 0.520 0.837 0.409
34 O 0.765 0.973 0.445
35 O 0.086 0.319 0.783
36 Se 0.115 0.132 0.115
37 O 0.586 0.181 0.217
38 Se 0.834 0.458 0.294

Below is CdSe2O9 after structural relaxation, with properties calculated at the PBE level.

Computed properties:
Formation enthalpy at 0 K = -0.3518 eV/atom
ΔE to the lowest computed polymorph = 354 meV/atom

abc: 8.330 5.423 20.306
angles: 90.00 95.68 90.00
Fractional positions:
1 O 0.514 0.551 0.073
2 O 0.836 0.253 0.288
3 O 0.203 0.623 0.420
4 O 0.297 0.123 0.080
5 O 0.606 0.219 0.788
6 Cd 0.244 0.270 0.489
7 O 0.647 0.566 0.042
8 O 0.986 0.051 0.427
9 O 0.616 0.062 0.074
10 O 0.394 0.781 0.212
11 O 0.116 0.438 0.574
12 O 0.377 0.076 0.413
13 O 0.147 0.934 0.542
14 O 0.703 0.877 0.920
15 O 0.123 0.576 0.087
16 O 0.486 0.449 0.927
17 O 0.797 0.377 0.580
18 Se 0.597 0.211 0.614
19 O 0.036 0.794 0.742
20 Cd 0.744 0.230 0.989
21 O 0.894 0.719 0.712
22 O 0.336 0.247 0.788
23 O 0.031 0.861 0.940
24 O 0.536 0.706 0.242
25 O 0.877 0.424 0.913
26 O 0.384 0.938 0.926
27 O 0.014 0.949 0.573
28 Se 0.494 0.205 0.120
29 O 0.353 0.434 0.958
30 O 0.164 0.747 0.712
31 O 0.853 0.066 0.458
32 Cd 0.756 0.730 0.511
33 O 0.664 0.753 0.212
34 O 0.964 0.206 0.258
35 O 0.531 0.639 0.440
36 Se 0.994 0.295 0.620
37 O 0.884 0.562 0.426
38 Se 0.403 0.789 0.386
39 Se 0.097 0.289 0.114
40 O 0.464 0.294 0.758
41 Se 0.006 0.705 0.380
42 O 0.969 0.139 0.060
43 Se 0.506 0.795 0.880
44 O 0.623 0.924 0.587
45 Se 0.903 0.711 0.886
46 Cd 0.256 0.770 0.011
47 O 0.469 0.361 0.560
48 O 0.106 0.281 0.288